DFT (GGA-PBE) results for crystalline PrHoTl2 at its relaxed geometry.

abc: 5.462 5.462 5.462
angles: 60.00 60.00 60.00
Fractional coordinates of all 4 atoms:
Pr 0.000 0.000 0.000
Ho 0.500 0.500 0.500
Tl 0.250 0.250 0.250
Tl 0.750 0.750 0.750

Output
As for the energy of formation from the pure elements: -0.3576 eV/atom. The energy comes out at -15.52 eV for the cell shown. The space group is Fm-3m.

=====

DFT (GGA-PBE) results for crystalline MgZn3 at its relaxed geometry.

abc: 5.482 5.482 5.482
angles: 149.09 62.15 127.53
Fractional coordinates of all 4 atoms:
Mg 0.000 0.000 0.000
Zn 0.089 0.337 0.751
Zn 0.506 0.006 0.500
Zn 0.586 0.337 0.249

Output
As for the energy of formation from the pure elements: -0.0211 eV/atom. The energy comes out at -5.46 eV for the cell shown. The space group is Imm2.

=====

DFT (GGA-PBE) results for crystalline CePS at its relaxed geometry.

abc: 5.569 5.471 16.574
angles: 90.00 90.00 90.00
Fractional coordinates of all 24 atoms:
Ce 0.017 0.250 0.134
Ce 0.019 0.750 0.354
Ce 0.481 0.250 0.854
Ce 0.483 0.750 0.634
Ce 0.517 0.250 0.366
Ce 0.519 0.750 0.146
Ce 0.981 0.250 0.646
Ce 0.983 0.750 0.866
P 0.201 0.033 0.502
P 0.201 0.467 0.502
P 0.299 0.533 0.002
P 0.299 0.967 0.002
P 0.701 0.033 0.998
P 0.701 0.467 0.998
P 0.799 0.533 0.498
P 0.799 0.967 0.498
S 0.016 0.250 0.313
S 0.016 0.750 0.179
S 0.484 0.250 0.679
S 0.484 0.750 0.813
S 0.516 0.250 0.187
S 0.516 0.750 0.321
S 0.984 0.250 0.821
S 0.984 0.750 0.687

Output
As for the energy of formation from the pure elements: -1.7293 eV/atom. The energy comes out at -161.34 eV for the cell shown. The space group is Pnma.

=====

DFT (GGA-PBE) results for crystalline YCo3Ni2 at its relaxed geometry.

abc: 4.864 4.864 4.008
angles: 90.00 90.00 120.00
Fractional coordinates of all 6 atoms:
Y 0.000 0.000 0.000
Co 0.000 0.500 0.500
Co 0.500 0.000 0.500
Co 0.500 0.500 0.500
Ni 0.333 0.667 0.000
Ni 0.667 0.333 0.000

Output
As for the energy of formation from the pure elements: -0.1850 eV/atom. The energy comes out at -40.46 eV for the cell shown. The space group is P6/mmm.

=====

DFT (GGA-PBE) results for crystalline Ba2SnS3F2 at its relaxed geometry.

abc: 6.308 19.595 6.435
angles: 90.00 90.00 90.00
Fractional coordinates of all 32 atoms:
Ba 0.247 0.077 0.002
Ba 0.247 0.423 0.002
Ba 0.253 0.577 0.502
Ba 0.253 0.923 0.502
Ba 0.747 0.077 0.498
Ba 0.747 0.423 0.498
Ba 0.753 0.577 0.998
Ba 0.753 0.923 0.998
Sn 0.157 0.750 0.915
Sn 0.343 0.250 0.415
Sn 0.657 0.750 0.585
Sn 0.843 0.250 0.085
S 0.237 0.250 0.042
S 0.245 0.138 0.516
S 0.245 0.362 0.516
S 0.255 0.638 0.016
S 0.255 0.862 0.016
S 0.263 0.750 0.542
S 0.737 0.250 0.458
S 0.745 0.138 0.984
S 0.745 0.362 0.984
S 0.755 0.638 0.484
S 0.755 0.862 0.484
S 0.763 0.750 0.958
F 0.001 0.001 0.748
F 0.001 0.499 0.748
F 0.499 0.501 0.248
F 0.499 0.999 0.248
F 0.501 0.001 0.752
F 0.501 0.499 0.752
F 0.999 0.501 0.252
F 0.999 0.999 0.252

Output
As for the energy of formation from the pure elements: -2.4815 eV/atom. The energy comes out at -166.02 eV for the cell shown. The space group is Pnma.

=====

DFT (GGA-PBE) results for crystalline TmSb at its relaxed geometry.

abc: 4.340 4.340 4.340
angles: 60.00 60.00 60.00
Fractional coordinates of all 2 atoms:
Tm 0.000 0.000 0.000
Sb 0.500 0.500 0.500

Output
As for the energy of formation from the pure elements: -1.1559 eV/atom. The energy comes out at -10.72 eV for the cell shown. The space group is Fm-3m.